Below is an optimized crystal structure of TiO2, with properties calculated at the PBE-GGA level.

Computed properties:
For the energy with MP2020 corrections, the calculation gives -9.393 eV per atom. Its crystal system is orthorhombic. The calculation puts the formation energy at -10.39 eV/f.u. The theoretical density is 4.14 g/cm3. As for the energy: -321.7 eV for the cell shown.

```
TiO2
1.0
-2.8118 -1.4464 3.3550
2.7684 -4.8227 0.2410
9.2345 5.8128 10.2452
Ti O
12 24
Cartesian
7.4689 3.8776 11.1087
2.4086 1.2790 2.5700
7.4560 0.7476 12.8962
1.7350 -1.2039 0.9450
2.0072 -0.7100 7.7012
6.8041 1.3993 9.4732
4.4026 1.9464 7.6865
7.1839 0.2538 6.1400
2.3869 -1.8555 4.3680
9.5942 -0.2889 7.9162
1.7221 -4.3339 2.7325
4.7884 -2.4027 6.1547
2.0992 -0.7976 2.8433
5.3358 1.0105 6.2095
7.0919 0.3413 10.9979
7.7405 2.7147 12.6906
-0.1838 -0.8883 1.3286
3.0007 1.3877 4.4529
8.3052 2.6081 9.9127
5.0228 0.6788 9.0094
6.1137 2.8465 8.0906
9.3748 0.4321 12.5127
6.1903 -1.8440 9.3884
0.8858 -3.0644 3.9286
1.5548 -0.9626 5.7952
3.8552 -1.4668 7.6318
7.6363 0.5063 8.0460
4.1683 -1.1350 4.8319
6.4699 -1.5295 6.6285
2.7212 1.0732 7.2128
3.0773 -3.3028 5.7506
1.4506 -3.1710 1.1506
-0.7150 -0.7645 4.0666
5.8461 2.8239 10.7123
9.9060 0.3082 9.7747
3.3450 -3.2802 3.1289
```


Below is an optimized crystal structure of TiO2, with properties calculated at the PBE-GGA level.

Computed properties:
For the energy with MP2020 corrections, the calculation gives -9.253 eV per atom. As for the spin magnetization: 0.000 μB/atom. Its crystal system is cubic. The calculation puts the formation energy at -9.97 eV/f.u. The theoretical density is 3.53 g/cm3. As for the energy: -105.5 eV for the cell shown.

```
TiO2
1.0
0.0000 4.2192 4.2192
4.2192 0.0000 4.2192
4.2192 4.2192 0.0000
Ti O
4 8
Cartesian
1.0548 3.1644 3.1644
1.0548 1.0548 1.0548
3.1644 3.1644 1.0548
3.1644 1.0548 3.1644
7.5169 5.1407 5.1407
5.4073 5.4073 3.0311
7.5169 7.5169 7.5169
5.4073 3.0311 5.4073
5.1407 5.1407 7.5169
3.0311 5.4073 5.4073
5.1407 7.5169 5.1407
3.0311 3.0311 3.0311
```